No. 1
The following is a DFT calculation (PBE) of a relaxed B5Mo2 crystal.

The structure in extended XYZ format:
```
7
Lattice="1.543 0.891 7.165 -1.543 0.891 7.165 0.000 -1.782 7.165" Properties=species:S:1:pos:R:3 pbc="T T T"
B 0.000 0.000 0.000
B 0.000 0.000 3.620
B 0.000 0.000 6.787
B 0.000 0.000 14.708
B 0.000 0.000 17.875
Mo 0.000 0.000 9.123
Mo 0.000 0.000 12.372
```

Properties
The value obtained for the total moment is 0.0 μB per cell. The formation energy comes out at 0.46 eV/f.u. The calculation puts the offset from the most stable computed form at 0.000 eV/atom. As for the crystal system: trigonal.

***

No. 2
The following is a DFT calculation (PBE) of a relaxed CuHgSeCl crystal.

The structure in extended XYZ format:
```
16
Lattice="7.174 0.000 0.000 0.000 13.088 0.000 0.000 0.000 4.252" Properties=species:S:1:pos:R:3 pbc="T T T"
Cu 1.785 0.555 0.000
Cu 1.802 7.099 0.000
Cu 5.372 5.989 0.000
Cu 5.389 12.533 0.000
Hg 0.763 9.989 2.126
Hg 2.824 3.445 2.126
Hg 4.350 9.642 2.126
Hg 6.411 3.098 2.126
Se 1.204 1.456 2.126
Se 2.383 8.000 2.126
Se 4.791 5.088 2.126
Se 5.970 11.632 2.126
Cl 1.051 4.982 0.000
Cl 2.536 11.526 0.000
Cl 4.638 1.562 0.000
Cl 6.123 8.105 0.000
```

Properties
The value obtained for the total moment is 0.0 μB per cell. The formation energy comes out at -1.99 eV/f.u. As for the crystal system: orthorhombic.

***

No. 3
The following is a DFT calculation (PBE) of a relaxed Th3Au crystal.

The structure in extended XYZ format:
```
4
Lattice="4.858 0.000 0.000 0.000 4.858 0.000 0.000 0.000 4.858" Properties=species:S:1:pos:R:3 pbc="T T T"
Th 0.000 0.000 2.429
Th 0.000 2.429 0.000
Th 2.429 0.000 0.000
Au 2.429 2.429 2.429
```

Properties
The value obtained for the total moment is 0.0 μB per cell. The formation energy comes out at -0.52 eV/f.u. As for the crystal system: cubic.

***

No. 4
The following is a DFT calculation (PBE) of a relaxed BiSeI crystal.

The structure in extended XYZ format:
```
12
Lattice="9.037 0.000 0.000 0.000 4.274 0.000 0.000 0.000 11.277" Properties=species:S:1:pos:R:3 pbc="T T T"
Bi 1.001 1.068 1.445
Bi 3.518 3.205 7.083
Bi 5.519 1.068 4.194
Bi 8.036 3.205 9.833
Se 1.551 3.205 10.841
Se 2.968 1.068 5.202
Se 6.069 3.205 6.075
Se 7.486 1.068 0.437
I 0.216 1.068 7.717
I 4.302 3.205 2.078
I 4.735 1.068 9.200
I 8.821 3.205 3.561
```

Properties
The value obtained for the total moment is 0.0 μB per cell. The formation energy comes out at -1.63 eV/f.u. As for the crystal system: orthorhombic.

***

No. 5
The following is a DFT calculation (PBE) of a relaxed BaSr2Eu crystal.

The structure in extended XYZ format:
```
4
Lattice="0.000 4.792 4.792 4.792 0.000 4.792 4.792 4.792 0.000" Properties=species:S:1:pos:R:3 pbc="T T T"
Ba 0.000 0.000 0.000
Sr 2.396 2.396 2.396
Sr 7.188 7.188 7.188
Eu 4.792 4.792 4.792
```

Properties
The value obtained for the total moment is 7.5 μB per cell. The formation energy comes out at 0.13 eV/f.u. As for the crystal system: cubic.

***

No. 6
The following is a DFT calculation (PBE) of a relaxed Na3Zn2Ge2P3S3O24 crystal.

The structure in extended XYZ format:
```
111
Lattice="8.577 0.000 0.000 -4.276 7.438 0.000 -0.030 -0.159 22.010" Properties=species:S:1:pos:R:3 pbc="T T T"
Na 0.000 0.000 0.000
Na -0.052 -0.010 10.999
Na -0.145 4.757 18.290
Na -0.093 4.939 7.301
Na 4.095 2.370 3.656
Na 1.467 7.002 20.129
Na 2.597 5.146 9.124
Na 4.203 2.323 14.680
Na 5.702 4.686 5.490
Zn -0.156 4.871 10.768
Zn -0.115 4.745 21.761
Zn 4.078 2.354 6.785
Zn 4.207 2.282 17.789
Zn 4.167 7.278 18.610
Zn 4.248 7.356 7.586
Ge -0.073 4.892 14.907
Ge -0.029 4.992 3.903
Ge 4.175 2.479 0.502
Ge 4.194 2.352 11.515
Ge 4.128 7.334 14.190
Ge 4.235 7.368 3.189
P -2.613 4.934 1.803
P -1.352 2.669 12.819
P -1.860 7.344 5.375
P 1.143 2.721 1.807
P -1.404 7.050 12.816
P 2.440 4.857 12.772
P 1.216 7.150 1.760
P 2.865 5.250 5.426
P 1.660 7.239 16.424
S 1.086 2.078 16.400
S 2.893 0.178 20.168
S 1.687 2.374 9.187
S 2.950 4.432 20.157
S 5.413 0.270 9.165
S 6.650 2.359 20.165
S 5.460 4.522 9.149
S 7.284 2.133 5.405
S 5.485 5.158 16.393
O -3.547 6.161 2.010
O -0.752 1.250 13.050
O -0.725 1.593 6.640
O -3.245 5.934 17.634
O -1.743 4.643 3.081
O -1.153 3.597 14.066
O -1.666 4.642 9.279
O -1.088 3.547 20.300
O -0.715 3.169 11.551
O -1.828 5.238 0.556
O 0.530 1.316 2.045
O -2.926 7.231 13.079
O -0.675 3.501 5.252
O -1.596 5.032 16.231
O -2.642 6.967 6.636
O 0.506 1.527 17.633
O 1.429 0.070 20.081
O 0.864 1.165 9.091
O 1.490 0.158 4.155
O 0.868 1.198 15.205
O -1.295 6.257 11.540
O 0.528 3.230 0.531
O 0.411 3.413 16.224
O -1.010 6.020 5.163
O 0.860 3.598 9.311
O -0.741 6.285 20.293
O 0.948 3.651 3.052
O -0.686 6.423 14.055
O 3.149 1.007 21.428
O 2.547 2.169 10.430
O 2.542 2.254 16.468
O 3.329 1.111 5.447
O 3.511 0.784 18.979
O 2.514 2.631 7.992
O 3.536 1.033 12.700
O 2.709 2.583 1.699
O 1.517 4.551 13.993
O 1.480 4.596 20.260
O 0.532 6.358 9.268
O 0.484 6.505 2.978
O 1.329 5.114 5.195
O 0.801 5.927 16.205
O 1.716 5.151 11.474
O 1.101 6.379 0.458
O 3.214 3.657 18.946
O 4.874 0.900 7.961
O 3.345 3.582 12.672
O 4.827 1.127 1.659
O 5.039 1.035 16.449
O 3.557 3.876 5.462
O 5.160 1.087 10.433
O 3.535 3.802 21.418
O 2.990 5.999 6.762
O 2.387 6.963 17.751
O 3.359 6.085 13.027
O 2.730 7.316 2.039
O 6.904 0.038 15.224
O 3.573 5.784 20.133
O 6.889 0.133 9.137
O 3.592 5.967 4.242
O 4.783 3.856 10.356
O 5.763 2.076 21.393
O 4.866 3.829 16.461
O 5.056 3.659 1.688
O 5.818 2.322 5.472
O 5.663 2.518 12.706
O 5.848 2.521 18.950
O 5.187 3.786 7.896
O 4.794 5.854 9.136
O 7.471 1.113 20.115
O 7.508 1.287 4.203
O 4.873 5.819 15.199
```

Properties
The value obtained for the total moment is 0.0 μB per cell. The formation energy comes out at -80.65 eV/f.u. As for the crystal system: triclinic.

***

No. 7
The following is a DFT calculation (PBE) of a relaxed Fe3Ag crystal.

The structure in extended XYZ format:
```
4
Lattice="3.776 0.000 0.000 0.000 3.776 0.000 0.000 0.000 3.776" Properties=species:S:1:pos:R:3 pbc="T T T"
Fe 0.000 0.000 1.888
Fe 0.000 1.888 0.000
Fe 1.888 0.000 0.000
Ag 1.888 1.888 1.888
```

Properties
The value obtained for the total moment is 7.8 μB per cell. The formation energy comes out at 1.37 eV/f.u. As for the crystal system: cubic.

***

No. 8
The following is a DFT calculation (PBE) of a relaxed DyThFe6 crystal.

The structure in extended XYZ format:
```
24
Lattice="2.573 1.485 16.576 -2.573 1.485 16.576 0.000 -2.971 16.576" Properties=species:S:1:pos:R:3 pbc="T T T"
Dy 0.000 0.000 0.000
Dy 0.000 0.000 7.043
Dy 0.000 0.000 31.939
Th 0.000 0.000 3.534
Th 0.000 0.000 24.878
Th 0.000 0.000 28.435
Fe 0.000 -1.484 9.784
Fe -1.285 0.742 9.784
Fe -1.284 -0.741 18.066
Fe -1.288 -0.743 22.148
Fe 0.000 -1.483 13.872
Fe -1.284 0.741 13.872
Fe 0.000 0.000 11.808
Fe 0.000 0.000 15.967
Fe 0.000 0.000 20.129
Fe 1.285 0.742 9.784
Fe 1.284 -0.741 18.066
Fe 0.000 1.482 18.066
Fe 1.288 -0.743 22.148
Fe 1.284 0.741 13.872
Fe 0.000 1.487 22.148
Fe 0.000 0.000 36.685
Fe 0.000 0.000 40.815
Fe 0.000 0.000 44.986
```

Properties
The formation energy comes out at -0.61 eV/f.u. As for the crystal system: trigonal.

***

No. 9
The following is a DFT calculation (PBE) of a relaxed LiYSe2 crystal.

The structure in extended XYZ format:
```
4
Lattice="2.036 1.176 6.512 -2.036 1.176 6.512 0.000 -2.351 6.512" Properties=species:S:1:pos:R:3 pbc="T T T"
Li 0.000 0.000 0.000
Y 0.000 0.000 9.768
Se 0.000 0.000 4.905
Se 0.000 0.000 14.630
```

Properties
The formation energy comes out at -7.74 eV/f.u. As for the crystal system: trigonal.

***

No. 10
The following is a DFT calculation (PBE) of a relaxed CeSiIr crystal.

The structure in extended XYZ format:
```
12
Lattice="6.334 0.000 0.000 0.000 6.334 0.000 0.000 0.000 6.334" Properties=species:S:1:pos:R:3 pbc="T T T"
Ce 0.782 0.782 0.782
Ce 2.385 5.552 3.949
Ce 3.949 2.385 5.552
Ce 5.552 3.949 2.385
Si 0.530 3.697 5.804
Si 2.637 2.637 2.637
Si 3.697 5.804 0.530
Si 5.804 0.530 3.697
Ir 1.190 1.977 4.357
Ir 1.977 4.357 1.190
Ir 4.357 1.190 1.977
Ir 5.144 5.144 5.144
```

Properties
The formation energy comes out at -2.75 eV/f.u. As for the crystal system: cubic.

***

No. 11
The following is a DFT calculation (PBE) of a relaxed Na9Nb10Zn2Si9P9O72 crystal.

The structure in extended XYZ format:
```
111
Lattice="8.917 0.000 0.000 -4.447 7.736 0.000 0.000 -0.006 22.690" Properties=species:S:1:pos:R:3 pbc="T T T"
Na 0.000 0.000 0.000
Na 0.000 0.003 11.359
Na -2.712 4.860 17.115
Na 0.069 5.049 3.936
Na 0.073 5.278 15.247
Na 1.580 2.925 17.141
Na -1.104 7.669 5.787
Na 4.509 2.478 18.937
Na 4.512 2.684 7.567
Nb -4.422 7.711 19.377
Nb 0.016 0.024 8.034
Nb 0.013 0.053 3.236
Nb 0.027 5.155 11.821
Nb 0.024 5.164 0.482
Nb 4.453 2.550 15.561
Nb 4.464 2.571 10.870
Nb 4.463 2.581 22.225
Nb 4.458 2.615 4.236
Nb 4.488 7.677 14.575
Zn 0.066 5.048 7.123
Zn 0.069 5.272 18.466
Si 1.281 2.307 5.655
Si -1.829 7.719 16.999
Si 1.887 2.576 13.213
Si 3.198 0.354 1.887
Si 5.758 0.344 13.196
Si 3.191 4.822 1.869
Si 3.143 5.498 16.990
Si 7.029 2.595 1.867
Si 5.771 4.787 13.215
P -2.553 5.136 20.720
P -1.287 2.943 9.393
P 1.300 2.923 20.721
P -1.253 7.385 9.360
P 2.591 5.152 9.394
P 1.301 7.401 20.754
P 6.361 0.006 5.644
P 7.625 2.181 16.991
P 5.740 5.511 5.652
O -3.541 6.379 4.415
O -0.692 1.485 15.752
O -0.639 1.495 9.281
O -3.463 6.435 20.660
O -1.805 4.912 19.427
O -1.110 3.758 8.145
O -0.944 3.908 1.642
O -1.539 4.951 12.984
O -0.670 3.565 17.085
O -0.646 3.595 10.659
O -1.631 5.332 21.963
O -1.670 5.448 5.732
O 0.631 1.497 20.683
O -2.834 7.527 9.296
O -2.849 7.606 15.711
O 0.708 1.443 4.363
O 0.945 1.274 13.378
O 1.585 0.177 2.042
O 0.982 1.267 6.948
O 1.608 0.261 18.313
O -1.009 6.361 17.064
O 0.614 3.732 5.700
O -0.958 6.489 10.602
O 0.692 3.652 21.962
O -0.582 6.618 1.646
O 1.112 3.678 19.425
O 0.980 3.917 12.997
O -0.690 6.843 8.063
O 3.476 1.311 0.594
O 2.864 2.359 11.926
O 2.944 2.279 5.549
O 3.463 1.394 16.892
O 3.760 1.089 9.595
O 2.838 2.711 20.949
O 1.577 4.945 1.652
O 0.614 6.617 12.992
O 2.813 2.827 14.561
O 3.859 1.024 3.234
O 1.581 5.222 17.054
O 1.797 4.912 8.143
O 0.690 6.853 19.500
O 0.973 6.563 5.720
O 1.692 5.347 10.661
O 1.020 6.517 22.015
O 3.450 3.859 3.183
O 5.070 1.059 14.512
O 5.162 1.103 20.975
O 3.546 3.928 9.618
O 5.452 1.277 11.896
O 3.859 4.098 0.569
O 5.519 1.332 5.556
O 3.974 4.058 16.889
O 3.506 6.436 9.308
O 2.827 7.612 4.397
O 2.867 7.553 20.671
O 3.531 6.420 15.691
O 7.286 0.171 6.907
O 6.074 2.314 16.895
O 5.093 4.055 11.927
O 5.062 4.112 5.543
O 6.080 2.370 0.561
O 3.867 6.257 18.294
O 3.856 6.284 2.056
O 7.360 0.207 13.361
O 6.100 2.708 9.618
O 5.403 3.924 20.950
O 6.081 2.821 3.183
O 5.517 3.896 14.571
O 7.909 1.312 18.267
O 5.105 6.197 6.922
O 7.964 1.270 2.030
O 5.102 6.267 13.343
```

Properties
The value obtained for the total moment is 0.0 μB per cell. The formation energy comes out at -320.55 eV/f.u. As for the crystal system: triclinic.

***

No. 12
The following is a DFT calculation (PBE) of a relaxed Tl5Sb10As3S22 crystal.

The structure in extended XYZ format:
```
40
Lattice="7.656 0.000 0.000 -2.997 8.339 0.000 -0.460 -4.619 17.388" Properties=species:S:1:pos:R:3 pbc="T T T"
Tl 0.000 0.000 0.000
Tl -1.090 2.705 2.792
Tl 0.602 5.949 6.442
Tl 2.943 0.150 9.793
Tl 4.879 1.143 14.055
Sb -0.506 -0.582 10.268
Sb -1.740 3.461 10.053
Sb 0.714 1.880 13.585
Sb 0.646 2.466 17.094
Sb 2.233 -1.061 17.321
Sb 2.556 3.308 3.537
Sb 2.148 4.245 10.382
Sb 5.628 -2.984 13.468
Sb 5.574 2.330 6.551
Sb 7.202 -1.211 6.845
As 1.954 -2.290 13.980
As 3.605 -0.391 2.652
As 4.801 6.290 3.726
S 0.725 -0.577 4.818
S -1.077 4.512 4.751
S 0.223 1.239 6.646
S -0.477 2.484 8.825
S -1.410 3.600 15.213
S 1.633 -2.227 8.584
S -0.113 0.103 17.051
S 0.791 -1.269 15.043
S -0.189 6.419 1.628
S 1.751 1.415 1.755
S 0.628 4.922 12.126
S 2.102 1.511 12.055
S 4.154 -2.237 14.881
S 2.576 2.060 15.201
S 4.404 1.308 4.842
S 3.113 4.967 4.779
S 3.658 4.801 1.616
S 5.120 0.817 1.428
S 3.590 3.523 8.917
S 5.310 -0.722 8.604
S 5.725 -0.205 11.758
S 4.164 4.679 11.704
```

Properties
The value obtained for the total moment is 0.0 μB per cell. The formation energy comes out at 3.43 eV/f.u. The calculation puts the offset from the most stable computed form at 0.635 eV/atom. As for the crystal system: triclinic.